Material: KSr3
Method: DFT, PBE
State: relaxed

Cell lengths 6.152, 6.152, 6.152 Å; angles 90.00, 90.00, 90.00 degrees
Fractional positions:
1 K 0.000 0.000 0.000
2 Sr 0.000 0.500 0.500
3 Sr 0.500 0.000 0.500
4 Sr 0.500 0.500 0.000

## Properties
space-group type	Pm-3m (221)
V	232.9	Å³ per cell
calculated density	2.2	g cm⁻³
energy above the most stable polymorph in this dataset	0.022	eV per formula unit
formation energy	0.105	eV/atom